This record from the Materials Project database describes crystalline Ti3Cu2TeP6O24 at its relaxed geometry. The functional is GGA-PBE.

Cell lengths 8.7657, 8.7657, 8.7657 Å; angles 59.83, 59.83, 59.83 degrees
Element x y z (fractional)
O 0.9512 0.7236 0.0970
O 0.1975 0.0007 0.3744
P 0.9616 0.5319 0.2589
O 0.8003 0.0224 0.6055
O 0.2638 0.9165 0.0604
Ti 0.3573 0.3573 0.3573
O 0.1206 0.4858 0.3191
Cu 0.5002 0.5002 0.5002
O 0.5511 0.4231 0.7720
P 0.7490 0.0438 0.4501
Te 0.8572 0.8572 0.8572
P 0.5319 0.2589 0.9616
O 0.3744 0.1975 0.0007
Ti 0.1419 0.1419 0.1419
Cu 0.0043 0.0043 0.0043
O 0.4231 0.7720 0.5511
O 0.7002 0.8735 0.5011
O 0.0224 0.6055 0.8003
O 0.6055 0.8003 0.0224
O 0.7720 0.5511 0.4231
O 0.5011 0.7002 0.8735
O 0.9165 0.0604 0.2638
P 0.0438 0.4501 0.7490
P 0.4501 0.7490 0.0438
O 0.0604 0.2638 0.9165
O 0.0007 0.3744 0.1975
O 0.8735 0.5011 0.7002
O 0.2306 0.4271 0.5843
O 0.4858 0.3191 0.1206
O 0.0970 0.9512 0.7236
O 0.5843 0.2306 0.4271
P 0.2589 0.9616 0.5319
O 0.4271 0.5843 0.2306
O 0.3191 0.1206 0.4858
O 0.7236 0.0970 0.9512
Ti 0.6421 0.6421 0.6421

Computed properties:
crystal system: trigonal
magnetic moment: 0.00 Bohr magnetons per cell
DFT formation energy: -2602 meV/atom
V: 474.4 Å³ per cell

This record from the Materials Project database describes crystalline Te3Pd10 at its relaxed geometry. The functional is GGA-PBE.

Cell lengths 8.9444, 8.9444, 8.9444 Å; angles 60.00, 60.00, 60.00 degrees
Element x y z (fractional)
Pd 0.5081 0.9919 0.9919
Pd 0.5081 0.9919 0.5081
Pd 0.7419 0.2581 0.2581
Pd 0.7419 0.2581 0.7419
Pd 0.9919 0.5081 0.5081
Te 0.6250 0.6250 0.1250
Pd 0.2581 0.7419 0.7419
Pd 0.3659 0.9024 0.3659
Te 0.0000 0.0000 0.0000
Pd 0.9919 0.9919 0.5081
Pd 0.8841 0.3476 0.8841
Pd 0.3659 0.3659 0.9024
Pd 0.2581 0.7419 0.2581
Pd 0.3476 0.8841 0.8841
Pd 0.2581 0.2581 0.7419
Pd 0.7419 0.7419 0.2581
Te 0.6250 0.1250 0.6250
Pd 0.9024 0.3659 0.3659
Te 0.1250 0.6250 0.6250
Te 0.2500 0.2500 0.2500
Te 0.6250 0.6250 0.6250
Pd 0.8841 0.8841 0.8841
Pd 0.8841 0.8841 0.3476
Pd 0.5081 0.5081 0.9919
Pd 0.3659 0.3659 0.3659
Pd 0.9919 0.5081 0.9919

Computed properties:
crystal system: cubic
magnetic moment: 0.07 Bohr magnetons per cell
DFT formation energy: -120 meV/atom
V: 506.0 Å³ per cell

This record from the Materials Project database describes crystalline Mg3Bi at its relaxed geometry. The functional is GGA-PBE.

Cell lengths 5.2641, 5.2641, 5.2641 Å; angles 60.00, 60.00, 60.00 degrees
Element x y z (fractional)
Mg 0.7500 0.7500 0.7500
Mg 0.0000 0.0000 0.0000
Bi 0.5000 0.5000 0.5000
Mg 0.2500 0.2500 0.2500

Computed properties:
crystal system: cubic
magnetic moment: 0.00 Bohr magnetons per cell
DFT formation energy: -15 meV/atom
V: 103.1 Å³ per cell

This record from the Materials Project database describes crystalline Sb2O3 at its relaxed geometry. The functional is GGA-PBE.

Cell lengths 3.3543, 4.0292, 13.2730 Å; angles 90.00, 90.00, 90.00 degrees
Element x y z (fractional)
Sb 0.0000 0.6466 0.8662
O 0.0000 0.6211 0.6778
O 0.0000 0.6211 0.3222
Sb 0.5000 0.3534 0.3662
O 0.0000 0.4096 0.0000
O 0.5000 0.3789 0.8222
Sb 0.0000 0.6466 0.1338
O 0.5000 0.5904 0.5000
Sb 0.5000 0.3534 0.6338
O 0.5000 0.3789 0.1778

Computed properties:
crystal system: orthorhombic
magnetic moment: 0.00 Bohr magnetons per cell
DFT formation energy: -1582 meV/atom
V: 179.4 Å³ per cell

This record from the Materials Project database describes crystalline Gd3AlN at its relaxed geometry. The functional is GGA-PBE.

Cell lengths 5.4820, 5.4820, 5.4820 Å; angles 90.00, 90.00, 90.00 degrees
Element x y z (fractional)
Gd 0.0000 0.5000 0.5000
Al 0.5000 0.5000 0.5000
N 0.0000 0.0000 0.0000
Gd 0.5000 0.0000 0.5000
Gd 0.5000 0.5000 0.0000

Computed properties:
crystal system: cubic
magnetic moment: 21.91 Bohr magnetons per cell
DFT formation energy: 1046 meV/atom
V: 164.8 Å³ per cell

This record from the Materials Project database describes crystalline Ca5Ga3 at its relaxed geometry. The functional is GGA-PBE.

Cell lengths 9.3367, 9.3367, 9.3367 Å; angles 129.58, 129.58, 74.08 degrees
Element x y z (fractional)
Ca 0.0000 0.0000 0.0000
Ga 0.1111 0.6111 0.7223
Ca 0.6804 0.5290 0.5000
Ga 0.8889 0.3889 0.2777
Ga 0.6111 0.8889 0.5000
Ca 0.4710 0.9710 0.1514
Ca 0.9710 0.8196 0.5000
Ca 0.5290 0.0290 0.8486
Ca 0.0290 0.1804 0.5000
Ca 0.5000 0.5000 0.0000
Ca 0.3196 0.4710 0.5000
Ga 0.3889 0.1111 0.5000
Ga 0.2500 0.2500 0.0000
Ca 0.8196 0.3196 0.8486
Ga 0.7500 0.7500 0.0000
Ca 0.1804 0.6804 0.1514

Computed properties:
crystal system: tetragonal
DFT formation energy: -379 meV/atom
V: 471.5 Å³ per cell

This record from the Materials Project database describes crystalline Ca3Sn4S11 at its relaxed geometry. The functional is GGA-PBE.

Cell lengths 9.8907, 10.0630, 10.2603 Å; angles 94.96, 114.31, 104.03 degrees
Element x y z (fractional)
Ca 0.0908 0.1436 0.4042
S 0.5138 0.7772 0.4210
S 0.7484 0.5287 0.1825
Sn 0.8357 0.3825 0.0450
Ca 0.1463 0.7158 0.9303
S 0.3984 0.1036 0.5008
Sn 0.3573 0.5290 0.2848
S 0.7726 0.6347 0.8445
S 0.3477 0.3939 0.6163
S 0.6013 0.4573 0.4340
Sn 0.7968 0.0366 0.5394
S 0.5090 0.2829 0.8874
Sn 0.7048 0.3694 0.6793
Sn 0.2746 0.8641 0.3368
Ca 0.9066 0.6257 0.4829
Sn 0.2529 0.3845 0.8333
S 0.8713 0.7740 0.7423
S 0.1194 0.1284 0.6985
S 0.6346 0.9567 0.8571
Ca 0.7191 0.7944 0.0983
S 0.4018 0.6345 0.9375
S 0.2559 0.3234 0.0790
S 0.8771 0.8864 0.3991
S 0.8445 0.2517 0.3972
S 0.2272 0.7934 0.5701
S 0.2865 0.0042 0.9629
S 0.7954 0.1609 0.1824
S 0.0391 0.9395 0.1603
S 0.4166 0.9434 0.1553
Sn 0.9865 0.0374 0.9252
S 0.0039 0.4650 0.7153
S 0.1238 0.6189 0.1694
Sn 0.3983 0.0337 0.7371
Ca 0.4853 0.6888 0.6769
Ca 0.5454 0.2587 0.1817
S 0.2064 0.4554 0.4309

Computed properties:
crystal system: triclinic
magnetic moment: 0.00 Bohr magnetons per cell
DFT formation energy: -1125 meV/atom
V: 882.7 Å³ per cell
offset from the most stable computed form: 0 meV/atom

This record from the Materials Project database describes crystalline BaU11Ge2O38 at its relaxed geometry. The functional is GGA-PBE.

Cell lengths 10.2906, 10.2905, 17.4143 Å; angles 90.00, 90.00, 120.00 degrees
Element x y z (fractional)
O 0.7137 0.5302 0.3445
U 0.3333 0.6667 0.8984
U 0.6422 0.6612 0.4407
O 0.4073 0.5423 0.9660
O 0.6763 0.8973 0.4833
U 0.0190 0.3578 0.4407
U 0.8635 0.7269 0.2500
U 0.8635 0.1365 0.2500
O 0.0244 0.7149 0.2818
U 0.3333 0.6667 0.6016
O 0.1740 0.0187 0.3723
Ba 0.3334 0.6667 0.2500
O 0.1553 0.1740 0.6277
O 0.6904 0.9756 0.2818
O 0.8260 0.9813 0.6277
O 0.8165 0.2863 0.3445
O 0.8260 0.8447 0.8723
U 0.2731 0.1365 0.2500
Ge 0.0000 0.0000 0.4003
O 0.1835 0.7137 0.6555
O 0.5927 0.4577 0.0340
O 0.0000 0.0000 0.7500
O 0.8447 0.8260 0.3723
O 0.7137 0.1835 0.1555
O 0.3096 0.0244 0.7182
O 0.5927 0.1350 0.4660
O 0.8596 0.5053 0.6308
O 0.1740 0.1553 0.1277
O 0.5423 0.1350 0.0340
O 0.7149 0.6904 0.7182
O 0.6763 0.7789 0.0167
O 0.0000 0.0000 0.0000
O 0.2211 0.3237 0.4833
Ba 0.6666 0.3333 0.7500
U 0.9810 0.3388 0.9407
O 0.8596 0.3542 0.8692
O 0.1027 0.7789 0.4833
O 0.2851 0.3096 0.2818
O 0.3237 0.2211 0.9833
O 0.3542 0.4947 0.1308
U 0.6667 0.3333 0.3984
O 0.9756 0.6905 0.7818
O 0.5302 0.7137 0.8445
O 0.1835 0.4698 0.8445
O 0.9756 0.2851 0.7182
O 0.0187 0.1740 0.8723
O 0.6458 0.1404 0.6308
O 0.1404 0.6458 0.1308
U 0.3388 0.3578 0.0593
Ge 0.0000 0.0000 0.9003
U 0.6612 0.0190 0.5593
O 0.8447 0.0187 0.1277
Ge 0.0000 0.0000 0.5997
O 0.3542 0.8596 0.3692
U 0.7269 0.8635 0.7500
O 0.1350 0.5423 0.5340
O 0.3237 0.1027 0.5167
O 0.2863 0.8165 0.8445
U 0.1365 0.2731 0.7500
O 0.1027 0.3237 0.0167
U 0.1365 0.8635 0.7500
U 0.3578 0.3388 0.5593
O 0.1350 0.5927 0.9660
Ge 0.0000 0.0000 0.0997
O 0.1404 0.4947 0.3692
O 0.4947 0.3542 0.6308
O 0.4947 0.1404 0.8692
O 0.2211 0.8973 0.0167
O 0.0000 0.0000 0.2500
U 0.0190 0.6612 0.0593
U 0.3388 0.9810 0.4407
O 0.7789 0.6763 0.5167
O 0.6904 0.7149 0.2182
U 0.6612 0.6422 0.9407
O 0.2863 0.4698 0.6555
O 0.4698 0.2863 0.1555
O 0.4698 0.1835 0.3445
U 0.3578 0.0190 0.9407
O 0.9813 0.8260 0.1277
O 0.9813 0.1553 0.3723
O 0.8650 0.4577 0.4660
U 0.6422 0.9810 0.0593
O 0.1553 0.9813 0.8723
O 0.7149 0.0244 0.7818
O 0.0244 0.3095 0.2182
O 0.7789 0.1027 0.9833
U 0.9810 0.6422 0.5593
O 0.3096 0.2851 0.7818
O 0.5423 0.4073 0.4660
O 0.5053 0.8596 0.1308
O 0.0187 0.8447 0.6277
O 0.8650 0.4073 0.0340
O 0.4577 0.8650 0.9660
O 0.5053 0.6458 0.3692
O 0.4577 0.5927 0.5340
O 0.0000 0.0000 0.5000
O 0.6458 0.5053 0.8692
U 0.6667 0.3333 0.1016
O 0.8973 0.6763 0.9833
O 0.8973 0.2211 0.5167
O 0.5302 0.8165 0.6555
O 0.2851 0.9756 0.2182
O 0.8165 0.5302 0.1555
O 0.4073 0.8650 0.5340

Computed properties:
crystal system: trigonal
magnetic moment: 0.00 Bohr magnetons per cell
DFT formation energy: -3401 meV/atom
V: 1597.0 Å³ per cell

This record from the Materials Project database describes crystalline Ba3Sn2P4 at its relaxed geometry. The functional is GGA-PBE.

Cell lengths 19.6927, 7.8231, 7.9873 Å; angles 67.50, 90.00, 90.00 degrees
Element x y z (fractional)
Sn 0.7427 0.1068 0.3161
Sn 0.6219 0.9774 0.2097
Ba 0.9340 0.5126 0.7401
P 0.6820 0.7865 0.0415
Ba 0.0660 0.4874 0.2599
Ba 0.6826 0.5073 0.7911
P 0.9352 0.2565 0.4939
Sn 0.3781 0.0226 0.7903
Ba 0.4405 0.5088 0.7371
P 0.0534 0.2527 0.9985
P 0.2979 0.7093 0.4906
P 0.9466 0.7473 0.0015
P 0.4466 0.7527 0.9985
Ba 0.0595 0.0088 0.7371
Ba 0.3174 0.4927 0.2089
Sn 0.2427 0.3932 0.6839
Sn 0.7573 0.6068 0.3161
Ba 0.9405 0.9912 0.2629
Ba 0.1826 0.9927 0.2089
P 0.4352 0.2435 0.5061
Ba 0.8174 0.0073 0.7911
Ba 0.4340 0.9874 0.2599
P 0.7021 0.2907 0.5094
P 0.7979 0.7907 0.5094
P 0.0648 0.7435 0.5061
P 0.5648 0.7565 0.4939
P 0.2021 0.2093 0.4906
Sn 0.1219 0.5226 0.7903
Ba 0.5595 0.4912 0.2629
P 0.8180 0.2865 0.0415
P 0.5534 0.2473 0.0015
Sn 0.8781 0.4774 0.2097
P 0.3180 0.2135 0.9585
Ba 0.5660 0.0126 0.7401
Sn 0.2573 0.8932 0.6839
P 0.1820 0.7135 0.9585

Computed properties:
crystal system: monoclinic
DFT formation energy: -765 meV/atom
V: 1136.9 Å³ per cell

This record from the Materials Project database describes crystalline Zr2Co at its relaxed geometry. The functional is GGA-PBE.

Cell lengths 8.6618, 8.6618, 8.6618 Å; angles 60.00, 60.00, 60.00 degrees
Element x y z (fractional)
Zr 0.6250 0.6250 0.6250
Co 0.4024 0.7927 0.4024
Zr 0.1878 0.1878 0.8122
Co 0.8476 0.4573 0.8476
Zr 0.1878 0.8122 0.1878
Zr 0.8122 0.1878 0.1878
Zr 0.6250 0.1250 0.6250
Co 0.8476 0.8476 0.4573
Zr 0.4378 0.0622 0.0622
Zr 0.6250 0.6250 0.1250
Co 0.8476 0.8476 0.8476
Co 0.7927 0.4024 0.4024
Co 0.4024 0.4024 0.4024
Zr 0.8122 0.1878 0.8122
Co 0.4024 0.4024 0.7927
Zr 0.8122 0.8122 0.1878
Co 0.4573 0.8476 0.8476
Zr 0.0622 0.0622 0.4378
Zr 0.4378 0.4378 0.0622
Zr 0.0622 0.4378 0.4378
Zr 0.0622 0.4378 0.0622
Zr 0.1878 0.8122 0.8122
Zr 0.4378 0.0622 0.4378
Zr 0.1250 0.6250 0.6250

Computed properties:
crystal system: cubic
magnetic moment: 0.00 Bohr magnetons per cell
DFT formation energy: -198 meV/atom
V: 459.5 Å³ per cell

This record from the Materials Project database describes crystalline MgZn3Cu2H14S2O18 at its relaxed geometry. The functional is GGA-PBE.

Cell lengths 6.0378, 6.5287, 10.6058 Å; angles 95.90, 88.94, 90.27 degrees
Element x y z (fractional)
O 0.8381 0.2168 0.3781
O 0.8819 0.9004 0.1798
Zn 0.0078 0.9936 0.0035
H 0.3797 0.2084 0.0810
O 0.3569 0.0493 0.3897
O 0.6777 0.4489 0.6019
H 0.6477 0.7700 0.9207
H 0.1045 0.9052 0.6932
O 0.8005 0.7841 0.8893
Zn 0.3367 0.8173 0.4952
O 0.3608 0.5378 0.3983
Mg 0.8059 0.7030 0.5514
H 0.6162 0.4236 0.6852
S 0.2256 0.2953 0.7991
H 0.5612 0.9714 0.6834
H 0.3625 0.7527 0.0701
O 0.2965 0.7869 0.9903
O 0.2015 0.2982 0.6597
O 0.9278 0.5272 0.1534
S 0.7976 0.6996 0.2197
H 0.7798 0.3352 0.0673
O 0.0968 0.4651 0.8705
H 0.4235 0.5686 0.3146
O 0.8250 0.7079 0.3600
O 0.7229 0.2041 0.0221
O 0.0739 0.8482 0.6055
O 0.2285 0.1980 0.1164
H 0.8684 0.6454 0.8755
Zn 0.5373 0.2728 0.4678
O 0.5932 0.9273 0.5946
Cu 0.9848 0.1484 0.5379
H 0.1656 0.3382 0.1302
O 0.5584 0.6713 0.1897
Cu 0.0935 0.3864 0.3806
H 0.3387 0.0378 0.2982
H 0.6553 0.2412 0.9428
O 0.1376 0.0913 0.8344
O 0.4651 0.3181 0.8296
H 0.2386 0.6536 0.9467
H 0.8472 0.1017 0.3099

Computed properties:
crystal system: triclinic
magnetic moment: 0.00 Bohr magnetons per cell
DFT formation energy: -1474 meV/atom
V: 415.8 Å³ per cell

This record from the Materials Project database describes crystalline TbRh5 at its relaxed geometry. The functional is GGA-PBE.

Cell lengths 5.2520, 5.2520, 4.3339 Å; angles 90.00, 90.00, 120.00 degrees
Element x y z (fractional)
Rh 0.5000 0.0000 0.5000
Rh 0.3333 0.6667 0.0000
Tb 0.0000 0.0000 0.0000
Rh 0.6667 0.3333 0.0000
Rh 0.0000 0.5000 0.5000
Rh 0.5000 0.5000 0.5000

Computed properties:
crystal system: hexagonal
DFT formation energy: -298 meV/atom
V: 103.5 Å³ per cell

no.,calculated total energy (eV/atom)
1,-7.32
2,-4.83
3,-2.19
4,-5.79
5,-9.74
6,-2.77
7,-4.57
8,-9.12
9,-4.70
10,-8.27
11,-5.12
12,-7.21